Computed, not measured: Sr2H6Pt after structural relaxation at the r²SCAN level of DFT.

Cell: 7.4466 7.4466 5.6192 Å, 90.00 90.00 135.60°
Last column: nearest neighbours and their distance in Å.
Element x y z (fractional)
Sr 0.6454 0.3546 0.0000  4 H 2.45-2.46
Sr 0.3546 0.6454 0.0000  4 H 2.45-2.46
Sr 0.8546 0.1454 0.5000  4 H 2.45-2.46
Sr 0.1454 0.8546 0.5000  4 H 2.45-2.46
H 0.8802 0.1198 0.0000  1 Pt 1.65
H 0.1198 0.8802 0.0000  1 Pt 1.65
H 0.6198 0.3802 0.5000  1 Pt 1.65
H 0.3802 0.6198 0.5000  1 Pt 1.65
H 0.0007 0.5007 0.2500  4 Sr 2.45-2.46, 4 H 2.68
H 0.9993 0.4993 0.7500  4 Sr 2.45-2.46, 4 H 2.68
H 0.4993 0.9993 0.7500  4 Sr 2.45-2.46, 4 H 2.68
H 0.5007 0.0007 0.2500  4 Sr 2.45-2.46, 4 H 2.68
H 0.2093 0.2093 0.2152  1 Pt 1.69
H 0.7907 0.7907 0.7848  1 Pt 1.69
H 0.2907 0.2907 0.7152  1 Pt 1.69
H 0.7093 0.7093 0.2848  1 Pt 1.69
Pt 0.0000 0.0000 0.0000  4 H 1.65-1.69
Pt 0.5000 0.5000 0.5000  4 H 1.65-1.69

Calculated values
Energy of formation from the pure elements in eV per formula unit: -6.0
Magnetization in μB per formula unit: 0.0


Computed, not measured: PuH3 after structural relaxation at the r²SCAN level of DFT.

Cell: 3.7530 3.7530 6.7305 Å, 90.00 90.00 120.00°
Last column: nearest neighbours and their distance in Å.
Element x y z (fractional)
Pu 0.6667 0.3333 0.7500  11 H 2.17-2.41
Pu 0.3333 0.6667 0.2500  11 H 2.17-2.41
H 0.3333 0.6667 0.9066  1 H 2.11, 1 Pu 2.31
H 0.6667 0.3333 0.4066  1 H 2.11, 1 Pu 2.31
H 0.0000 0.0000 0.2500  3 Pu 2.17, 6 H 2.41
H 0.0000 0.0000 0.7500  3 Pu 2.17, 6 H 2.41
H 0.3333 0.6667 0.5934  1 H 2.11, 1 Pu 2.31
H 0.6667 0.3333 0.0934  1 H 2.11, 1 Pu 2.31

Calculated values
Energy of formation from the pure elements in eV per formula unit: -2.5
Magnetization in μB per formula unit: 5.0


Computed, not measured: Rb3ZnH5 after structural relaxation at the r²SCAN level of DFT.

Cell: 8.0294 8.0294 8.0294 Å, 121.51 121.51 87.40°
Last column: nearest neighbours and their distance in Å.
Element x y z (fractional)
Rb 0.1798 0.6798 0.8596  8 H 2.88-3.08
Rb 0.8202 0.3202 0.1404  8 H 2.88-3.08
Rb 0.6798 0.8202 0.5000  8 H 2.88-3.08
Rb 0.3202 0.1798 0.5000  8 H 2.88-3.08
Rb 0.2500 0.2500 0.0000  2 H 2.90
Rb 0.7500 0.7500 0.0000  2 H 2.90
Zn 0.2500 0.7500 0.5000  4 H 1.65
Zn 0.7500 0.2500 0.5000  4 H 1.65
H 0.4541 0.9541 0.7399  1 Zn 1.65
H 0.2142 0.7142 0.2601  1 Zn 1.65
H 0.9541 0.2142 0.5000  1 Zn 1.65
H 0.7142 0.4541 0.5000  1 Zn 1.65
H 0.5459 0.0459 0.2601  1 Zn 1.65
H 0.7858 0.2858 0.7399  1 Zn 1.65
H 0.0459 0.7858 0.5000  1 Zn 1.65
H 0.2858 0.5459 0.5000  1 Zn 1.65
H 0.5000 0.5000 0.0000  6 Rb 2.88-2.90
H 0.0000 0.0000 0.0000  6 Rb 2.88-2.90

Calculated values
Energy of formation from the pure elements in eV per formula unit: -2.8
Magnetization in μB per formula unit: 0.0


Computed, not measured: Sr2H5Rh after structural relaxation at the r²SCAN level of DFT.

Cell: 5.4112 5.4112 5.3367 Å, 60.45 60.45 59.09°
Last column: nearest neighbours and their distance in Å.
Element x y z (fractional)
Sr 0.2506 0.2506 0.2494  10 H 2.67-2.74
Sr 0.7506 0.7506 0.7494  10 H 2.67-2.74
H 0.2272 0.7842 0.2158  1 Rh 1.67
H 0.7842 0.2272 0.2158  1 Rh 1.67
H 0.2272 0.7842 0.7728  1 Rh 1.67
H 0.7842 0.2272 0.7728  1 Rh 1.67
H 0.7605 0.7605 0.2395  1 Rh 1.80
Rh 0.9923 0.9923 0.0077  5 H 1.67-1.80

Calculated values
Energy of formation from the pure elements in eV per formula unit: -5.3
Magnetization in μB per formula unit: 0.0


Computed, not measured: Si2H2S3 after structural relaxation at the r²SCAN level of DFT.

Cell: 7.8930 7.8930 8.8693 Å, 90.00 90.00 90.00°
Last column: nearest neighbours and their distance in Å.
Element x y z (fractional)
Si 0.4335 0.7007 0.6323  1 H 1.47
Si 0.5665 0.2993 0.6323  1 H 1.47
Si 0.7993 0.0665 0.1323  1 H 1.47
Si 0.2993 0.4335 0.3677  1 H 1.47
Si 0.2007 0.9335 0.1323  1 H 1.47
Si 0.9335 0.7993 0.8677  1 H 1.47
Si 0.0665 0.2007 0.8677  1 H 1.47
Si 0.7007 0.5665 0.3677  1 H 1.47
H 0.3874 0.8461 0.7277  1 Si 1.47
H 0.6126 0.1539 0.7277  1 Si 1.47
H 0.6539 0.1126 0.2277  1 Si 1.47
H 0.1539 0.3874 0.2723  1 Si 1.47
H 0.8461 0.6126 0.2723  1 Si 1.47
H 0.1126 0.3461 0.7723  1 Si 1.47
H 0.8874 0.6539 0.7723  1 Si 1.47
H 0.3461 0.8874 0.2277  1 Si 1.47
S 0.5000 0.5000 0.7826  2 Si 2.14
S 0.5000 0.5000 0.2174  2 Si 2.14
S 0.0000 0.0000 0.7174  2 Si 2.14
S 0.0000 0.0000 0.2826  2 Si 2.14
S 0.6430 0.7859 0.4991  2 Si 2.14
S 0.3570 0.2141 0.4991  2 Si 2.14
S 0.7141 0.8570 0.9991  2 Si 2.14
S 0.2141 0.6430 0.5009  2 Si 2.14
S 0.7859 0.3570 0.5009  2 Si 2.14
S 0.8570 0.2859 0.0009  2 Si 2.14
S 0.1430 0.7141 0.0009  2 Si 2.14
S 0.2859 0.1430 0.9991  2 Si 2.14

Calculated values
Energy of formation from the pure elements in eV per formula unit: -3.5
Magnetization in μB per formula unit: 0.0


Computed, not measured: Si2H6S after structural relaxation at the r²SCAN level of DFT.

Cell: 8.1574 8.8881 14.8671 Å, 90.00 90.00 90.00°
Last column: nearest neighbours and their distance in Å.
Element x y z (fractional)
Si 0.7433 0.8917 0.0322  3 H 1.48
Si 0.2433 0.1083 0.4678  3 H 1.48
Si 0.7567 0.3917 0.4678  3 H 1.48
Si 0.2567 0.6083 0.0322  3 H 1.48
Si 0.2567 0.1083 0.9678  3 H 1.48
Si 0.7567 0.8917 0.5322  3 H 1.48
Si 0.2433 0.6083 0.5322  3 H 1.48
Si 0.7433 0.3917 0.9678  3 H 1.48
Si 0.9097 0.0123 0.2176  3 H 1.47-1.48
Si 0.4097 0.9877 0.2824  3 H 1.47-1.48
Si 0.5903 0.5123 0.2824  3 H 1.47-1.48
Si 0.0903 0.4877 0.2176  3 H 1.47-1.48
Si 0.0903 0.9877 0.7824  3 H 1.47-1.48
Si 0.5903 0.0123 0.7176  3 H 1.47-1.48
Si 0.4097 0.4877 0.7176  3 H 1.47-1.48
Si 0.9097 0.5123 0.7824  3 H 1.47-1.48
H 0.9143 0.8758 0.0006  1 Si 1.48
H 0.4143 0.1242 0.4994  1 Si 1.48
H 0.5857 0.3758 0.4994  1 Si 1.48
H 0.0857 0.6242 0.0006  1 Si 1.48
H 0.0857 0.1242 0.9994  1 Si 1.48
H 0.5857 0.8758 0.5006  1 Si 1.48
H 0.4143 0.6242 0.5006  1 Si 1.48
H 0.9143 0.3758 0.9994  1 Si 1.48
H 0.6929 0.7520 0.0789  1 Si 1.48
H 0.1929 0.2480 0.4211  1 Si 1.48
H 0.8071 0.2520 0.4211  1 Si 1.48
H 0.3071 0.7480 0.0789  1 Si 1.48
H 0.3071 0.2480 0.9211  1 Si 1.48
H 0.8071 0.7520 0.5789  1 Si 1.48
H 0.1929 0.7480 0.5789  1 Si 1.48
H 0.6929 0.2520 0.9211  1 Si 1.48
H 0.6316 0.9263 0.9569  1 Si 1.48
H 0.1316 0.0737 0.5431  1 Si 1.48
H 0.8684 0.4263 0.5431  1 Si 1.48
H 0.3684 0.5737 0.9569  1 Si 1.48
H 0.3684 0.0737 0.0431  1 Si 1.48
H 0.8684 0.9263 0.4569  1 Si 1.48
H 0.1316 0.5737 0.4569  1 Si 1.48
H 0.6316 0.4263 0.0431  1 Si 1.48
H 0.0727 0.0144 0.1737  1 Si 1.48
H 0.5727 0.9856 0.3263  1 Si 1.48
H 0.4273 0.5144 0.3263  1 Si 1.48
H 0.9273 0.4856 0.1737  1 Si 1.48
H 0.9273 0.9856 0.8263  1 Si 1.48
H 0.4273 0.0144 0.6737  1 Si 1.48
H 0.5727 0.4856 0.6737  1 Si 1.48
H 0.0727 0.5144 0.8263  1 Si 1.48
H 0.8735 0.8591 0.2510  1 Si 1.48
H 0.3735 0.1409 0.2490  1 Si 1.48
H 0.6265 0.3591 0.2490  1 Si 1.48
H 0.1265 0.6409 0.2510  1 Si 1.48
H 0.1265 0.1409 0.7490  1 Si 1.48
H 0.6265 0.8591 0.7510  1 Si 1.48
H 0.3735 0.6409 0.7510  1 Si 1.48
H 0.8735 0.3591 0.7490  1 Si 1.48
H 0.9011 0.1240 0.2908  1 Si 1.47
H 0.4011 0.8760 0.2092  1 Si 1.47
H 0.5989 0.6240 0.2092  1 Si 1.47
H 0.0989 0.3760 0.2908  1 Si 1.47
H 0.0989 0.8760 0.7092  1 Si 1.47
H 0.5989 0.1240 0.7908  1 Si 1.47
H 0.4011 0.3760 0.7908  1 Si 1.47
H 0.9011 0.6240 0.7092  1 Si 1.47
S 0.7248 0.0792 0.1229  2 Si 2.15
S 0.2248 0.9208 0.3771  2 Si 2.15
S 0.7752 0.5792 0.3771  2 Si 2.15
S 0.2752 0.4208 0.1229  2 Si 2.15
S 0.2752 0.9208 0.8771  2 Si 2.15
S 0.7752 0.0792 0.6229  2 Si 2.15
S 0.2248 0.4208 0.6229  2 Si 2.15
S 0.7248 0.5792 0.8771  2 Si 2.15

Calculated values
Energy of formation from the pure elements in eV per formula unit: -1.2
Magnetization in μB per formula unit: 0.0


Computed, not measured: ScH2 after structural relaxation at the r²SCAN level of DFT.

Cell: 3.3716 3.3716 3.3716 Å, 60.00 60.00 60.00°
Last column: nearest neighbours and their distance in Å.
Element x y z (fractional)
Sc 0.0000 0.0000 0.0000  8 H 2.06
H 0.7500 0.7500 0.7500  4 Sc 2.06
H 0.2500 0.2500 0.2500  4 Sc 2.06

Calculated values
Energy of formation from the pure elements in eV per formula unit: -2.2
Magnetization in μB per formula unit: 0.0


Computed, not measured: ScH3 after structural relaxation at the r²SCAN level of DFT.

Cell: 3.3895 3.3895 3.3895 Å, 121.32 121.32 87.73°
Last column: nearest neighbours and their distance in Å.
Element x y z (fractional)
Sc 0.0000 0.0000 0.0000  8 H 2.06
H 0.7500 0.2500 0.5000  4 H 2.06, 4 Sc 2.06
H 0.2500 0.7500 0.5000  4 H 2.06, 4 Sc 2.06
H 0.5000 0.5000 0.0000  8 H 2.06

Calculated values
Energy of formation from the pure elements in eV per formula unit: -1.9
Magnetization in μB per formula unit: 0.0